Density functional theory data (PBE) for a relaxed MgH6S4O16 crystal.

Values from the calculation:
Calculated formation energy: -1751 meV/atom

Geometry as POSCAR:
```
MgH6S4O16
1.0
15.386 0.000 0.000
0.000 5.212 0.000
0.000 1.941 8.066
Mg H S O
2 12 8 32
direct
0.000 0.000 0.000 Mg
0.500 0.000 0.500 Mg
0.024 0.288 0.385 H
0.524 0.712 0.115 H
0.976 0.712 0.615 H
0.476 0.288 0.885 H
0.265 0.807 0.302 H
0.765 0.193 0.198 H
0.735 0.193 0.698 H
0.235 0.807 0.802 H
0.764 0.584 0.335 H
0.264 0.416 0.165 H
0.236 0.416 0.665 H
0.736 0.584 0.835 H
0.666 0.883 0.250 S
0.166 0.117 0.250 S
0.585 0.424 0.726 S
0.085 0.576 0.774 S
0.415 0.576 0.274 S
0.915 0.424 0.226 S
0.834 0.883 0.750 S
0.334 0.117 0.750 S
0.179 0.608 0.736 O
0.821 0.392 0.264 O
0.542 0.298 0.897 O
0.042 0.702 0.603 O
0.458 0.702 0.103 O
0.958 0.298 0.397 O
0.060 0.298 0.822 O
0.560 0.702 0.678 O
0.940 0.702 0.178 O
0.321 0.608 0.236 O
0.059 0.724 0.895 O
0.559 0.276 0.605 O
0.941 0.276 0.105 O
0.441 0.724 0.395 O
0.891 0.022 0.840 O
0.391 0.978 0.660 O
0.109 0.978 0.160 O
0.609 0.022 0.340 O
0.374 0.266 0.857 O
0.874 0.734 0.643 O
0.626 0.734 0.143 O
0.126 0.266 0.357 O
0.271 0.923 0.861 O
0.771 0.077 0.639 O
0.729 0.077 0.139 O
0.229 0.923 0.361 O
0.778 0.701 0.884 O
0.278 0.299 0.616 O
0.222 0.299 0.116 O
0.722 0.701 0.384 O
0.440 0.298 0.322 O
0.679 0.392 0.764 O
```

=====

Density functional theory data (PBE) for a relaxed MgH6S2O3 crystal.

Values from the calculation:
Calculated formation energy: -844 meV/atom

Geometry as POSCAR:
```
MgH6S2O3
1.0
-3.093 -3.813 3.193
-4.819 12.475 10.230
-6.435 1.327 -4.649
Mg H S O
4 24 8 12
direct
0.000 0.000 0.000 Mg
0.500 0.500 0.000 Mg
0.000 0.000 0.500 Mg
0.500 0.500 0.500 Mg
0.392 0.223 0.538 H
0.608 0.777 0.462 H
0.892 0.277 0.462 H
0.608 0.777 0.038 H
0.108 0.723 0.538 H
0.392 0.223 0.962 H
0.108 0.723 0.962 H
0.892 0.277 0.038 H
0.342 0.327 0.132 H
0.658 0.673 0.868 H
0.842 0.173 0.868 H
0.658 0.673 0.632 H
0.158 0.827 0.132 H
0.342 0.327 0.368 H
0.158 0.827 0.368 H
0.842 0.173 0.632 H
0.644 0.744 0.096 H
0.356 0.256 0.904 H
0.144 0.756 0.904 H
0.356 0.256 0.596 H
0.856 0.244 0.096 H
0.644 0.744 0.404 H
0.856 0.244 0.404 H
0.144 0.756 0.596 H
0.299 0.017 0.250 S
0.701 0.983 0.750 S
0.799 0.483 0.750 S
0.201 0.517 0.250 S
0.495 0.309 0.250 S
0.505 0.691 0.750 S
0.995 0.191 0.750 S
0.005 0.809 0.250 S
0.203 0.465 0.093 O
0.797 0.535 0.907 O
0.703 0.035 0.907 O
0.797 0.535 0.593 O
0.297 0.965 0.093 O
0.203 0.465 0.407 O
0.297 0.965 0.407 O
0.703 0.035 0.593 O
0.033 0.044 0.250 O
0.967 0.956 0.750 O
0.533 0.456 0.750 O
0.467 0.544 0.250 O
```

=====

Density functional theory data (PBE) for a relaxed MgZr2H10S6O28 crystal.

Values from the calculation:
E above lowest polymorph: 1 meV per atom
Calculated formation energy: -1951 meV/atom

Geometry as POSCAR:
```
MgZr2H10S6O28
1.0
-0.543 -5.168 -0.116
8.796 -0.134 -4.120
4.588 -0.728 11.820
Mg Zr H S O
1 2 10 6 28
direct
0.759 0.426 0.153 Mg
0.773 0.887 0.812 Zr
0.246 0.080 0.186 Zr
0.427 0.670 0.547 H
0.549 0.329 0.482 H
0.290 0.822 0.532 H
0.684 0.178 0.481 H
0.456 0.753 0.436 H
0.526 0.236 0.591 H
0.104 0.380 0.831 H
0.919 0.649 0.078 H
0.321 0.469 0.888 H
0.609 0.646 0.071 H
0.756 0.624 0.698 S
0.248 0.361 0.298 S
0.282 0.042 0.677 S
0.738 0.947 0.336 S
0.271 0.809 0.991 S
0.745 0.175 0.017 S
0.897 0.766 0.677 O
0.121 0.221 0.317 O
0.568 0.582 0.614 O
0.384 0.429 0.388 O
0.931 0.521 0.718 O
0.057 0.448 0.253 O
0.615 0.675 0.800 O
0.439 0.321 0.209 O
0.259 0.975 0.571 O
0.763 0.030 0.435 O
0.033 0.032 0.736 O
0.984 0.952 0.274 O
0.376 0.188 0.678 O
0.647 0.803 0.344 O
0.468 0.965 0.741 O
0.545 0.015 0.266 O
0.085 0.826 0.904 O
0.938 0.157 0.105 O
0.817 0.100 0.919 O
0.188 0.896 0.085 O
0.262 0.665 0.020 O
0.739 0.325 0.010 O
0.534 0.857 0.958 O
0.490 0.117 0.054 O
0.227 0.379 0.889 O
0.755 0.617 0.111 O
0.334 0.730 0.495 O
0.639 0.265 0.525 O
```

=====

Density functional theory data (PBE) for a relaxed MgZr2H10S6O28 crystal.

Values from the calculation:
E above lowest polymorph: 0 meV per atom
Calculated formation energy: -1953 meV/atom

Geometry as POSCAR:
```
MgZr2H10S6O28
1.0
5.324 0.122 -0.022
-0.498 8.869 -0.273
0.159 0.262 12.706
Mg Zr H S O
1 2 10 6 28
direct
0.755 0.584 0.273 Mg
0.760 0.896 0.817 Zr
0.214 0.106 0.171 Zr
0.430 0.674 0.561 H
0.596 0.347 0.476 H
0.274 0.841 0.539 H
0.679 0.173 0.483 H
0.430 0.756 0.444 H
0.521 0.250 0.589 H
0.131 0.378 0.827 H
0.971 0.601 0.088 H
0.327 0.432 0.908 H
0.727 0.499 0.073 H
0.766 0.619 0.702 S
0.262 0.387 0.295 S
0.263 0.062 0.675 S
0.713 0.946 0.323 S
0.254 0.803 0.993 S
0.716 0.202 0.005 S
0.896 0.774 0.680 O
0.175 0.235 0.333 O
0.586 0.581 0.617 O
0.505 0.439 0.344 O
0.941 0.502 0.718 O
0.076 0.502 0.317 O
0.623 0.664 0.803 O
0.307 0.361 0.179 O
0.233 0.994 0.570 O
0.710 0.012 0.427 O
0.026 0.054 0.738 O
0.963 0.962 0.270 O
0.352 0.220 0.668 O
0.646 0.780 0.330 O
0.457 0.974 0.735 O
0.523 0.016 0.254 O
0.065 0.829 0.909 O
0.903 0.175 0.093 O
0.781 0.109 0.914 O
0.182 0.899 0.086 O
0.246 0.647 0.026 O
0.708 0.361 0.984 O
0.506 0.854 0.954 O
0.469 0.144 0.050 O
0.227 0.343 0.886 O
0.803 0.577 0.121 O
0.321 0.736 0.506 O
0.657 0.270 0.524 O
```

=====

Density functional theory data (PBE) for a relaxed MgZr2H10S6O28 crystal.

Values from the calculation:
E above lowest polymorph: 39 meV per atom
Calculated formation energy: -1914 meV/atom

Geometry as POSCAR:
```
MgZr2H10S6O28
1.0
5.273 -0.070 -0.059
-0.812 9.162 -0.567
0.063 -0.151 12.662
Mg Zr H S O
1 2 10 6 28
direct
0.216 0.110 0.430 Mg
0.779 0.885 0.824 Zr
0.237 0.114 0.165 Zr
0.450 0.650 0.553 H
0.537 0.338 0.455 H
0.275 0.795 0.530 H
0.670 0.188 0.474 H
0.448 0.735 0.435 H
0.485 0.234 0.614 H
0.114 0.398 0.828 H
0.873 0.611 0.180 H
0.309 0.444 0.917 H
0.701 0.558 0.085 H
0.760 0.612 0.700 S
0.293 0.397 0.289 S
0.298 0.041 0.677 S
0.709 0.963 0.327 S
0.272 0.803 0.995 S
0.748 0.202 0.997 S
0.908 0.762 0.682 O
0.140 0.246 0.317 O
0.575 0.569 0.612 O
0.485 0.442 0.372 O
0.923 0.500 0.714 O
0.119 0.502 0.271 O
0.620 0.660 0.800 O
0.416 0.336 0.189 O
0.250 0.996 0.562 O
0.833 0.046 0.425 O
0.062 0.039 0.737 O
0.882 0.986 0.237 O
0.424 0.198 0.687 O
0.641 0.811 0.345 O
0.475 0.945 0.719 O
0.461 0.036 0.308 O
0.074 0.848 0.917 O
0.975 0.175 0.067 O
0.774 0.111 0.896 O
0.236 0.892 0.097 O
0.243 0.650 0.006 O
0.737 0.353 0.986 O
0.522 0.859 0.950 O
0.524 0.130 0.054 O
0.244 0.360 0.870 O
0.732 0.639 0.139 O
0.338 0.706 0.496 O
0.526 0.245 0.496 O
```

=====

Question: Which of these has the lowest calculated formation energy?
Answer: number 4

=====

Question: Among the records above, which one has the lowest calculated formation energy?
Answer: number 4

=====

Please write out number 1 again, unchanged.
Density functional theory data (PBE) for a relaxed MgH6S4O16 crystal.

Values from the calculation:
Calculated formation energy: -1751 meV/atom

Geometry as POSCAR:
```
MgH6S4O16
1.0
15.386 0.000 0.000
0.000 5.212 0.000
0.000 1.941 8.066
Mg H S O
2 12 8 32
direct
0.000 0.000 0.000 Mg
0.500 0.000 0.500 Mg
0.024 0.288 0.385 H
0.524 0.712 0.115 H
0.976 0.712 0.615 H
0.476 0.288 0.885 H
0.265 0.807 0.302 H
0.765 0.193 0.198 H
0.735 0.193 0.698 H
0.235 0.807 0.802 H
0.764 0.584 0.335 H
0.264 0.416 0.165 H
0.236 0.416 0.665 H
0.736 0.584 0.835 H
0.666 0.883 0.250 S
0.166 0.117 0.250 S
0.585 0.424 0.726 S
0.085 0.576 0.774 S
0.415 0.576 0.274 S
0.915 0.424 0.226 S
0.834 0.883 0.750 S
0.334 0.117 0.750 S
0.179 0.608 0.736 O
0.821 0.392 0.264 O
0.542 0.298 0.897 O
0.042 0.702 0.603 O
0.458 0.702 0.103 O
0.958 0.298 0.397 O
0.060 0.298 0.822 O
0.560 0.702 0.678 O
0.940 0.702 0.178 O
0.321 0.608 0.236 O
0.059 0.724 0.895 O
0.559 0.276 0.605 O
0.941 0.276 0.105 O
0.441 0.724 0.395 O
0.891 0.022 0.840 O
0.391 0.978 0.660 O
0.109 0.978 0.160 O
0.609 0.022 0.340 O
0.374 0.266 0.857 O
0.874 0.734 0.643 O
0.626 0.734 0.143 O
0.126 0.266 0.357 O
0.271 0.923 0.861 O
0.771 0.077 0.639 O
0.729 0.077 0.139 O
0.229 0.923 0.361 O
0.778 0.701 0.884 O
0.278 0.299 0.616 O
0.222 0.299 0.116 O
0.722 0.701 0.384 O
0.440 0.298 0.322 O
0.679 0.392 0.764 O
```